[1]
Cs2MnP4O12 after structural relaxation, computed with GGA+U.

Lattice parameters (Å, degrees): 8.1220 13.4683 12.7962 90.00 116.41 90.00
Fractional coordinates of all 76 atoms:
Cs (0.0583, 0.1202, 0.1362)
Cs (0.0583, 0.3798, 0.6362)
Cs (0.4309, 0.1248, 0.8436)
Cs (0.4309, 0.3752, 0.3436)
Cs (0.5691, 0.6248, 0.6564)
Cs (0.5691, 0.8752, 0.1564)
Cs (0.9417, 0.6202, 0.3638)
Cs (0.9417, 0.8798, 0.8638)
Mn (0.2467, 0.1443, 0.4873)
Mn (0.2467, 0.3557, 0.9873)
Mn (0.7533, 0.6443, 0.0127)
Mn (0.7533, 0.8557, 0.5127)
P (0.0824, 0.5925, 0.9126)
P (0.0824, 0.9075, 0.4126)
P (0.1056, 0.6873, 0.7016)
P (0.1056, 0.8127, 0.2016)
P (0.4258, 0.6746, 0.3300)
P (0.4258, 0.8254, 0.8300)
P (0.4453, 0.5749, 0.1206)
P (0.4453, 0.9251, 0.6206)
P (0.5547, 0.0749, 0.3794)
P (0.5547, 0.4251, 0.8794)
P (0.5742, 0.1746, 0.1700)
P (0.5742, 0.3254, 0.6700)
P (0.8944, 0.1873, 0.7984)
P (0.8944, 0.3127, 0.2984)
P (0.9176, 0.0925, 0.5874)
P (0.9176, 0.4075, 0.0874)
O (0.0617, 0.2464, 0.3481)
O (0.0617, 0.2536, 0.8481)
O (0.0861, 0.0153, 0.3843)
O (0.0861, 0.4847, 0.8843)
O (0.0916, 0.1373, 0.5935)
O (0.0916, 0.3627, 0.0935)
O (0.1122, 0.5986, 0.6339)
O (0.1122, 0.9014, 0.1339)
O (0.1490, 0.6606, 0.8348)
O (0.1490, 0.8394, 0.3348)
O (0.2429, 0.6196, 0.0402)
O (0.2429, 0.8804, 0.5402)
O (0.2898, 0.7487, 0.2289)
O (0.2898, 0.7513, 0.7289)
O (0.3364, 0.6227, 0.3944)
O (0.3364, 0.8773, 0.8944)
O (0.3945, 0.2285, 0.1028)
O (0.3945, 0.2715, 0.6028)
O (0.4135, 0.1415, 0.3895)
O (0.4135, 0.3585, 0.8895)
O (0.4484, 0.0352, 0.6048)
O (0.4484, 0.4648, 0.1048)
O (0.4591, 0.5901, 0.2499)
O (0.4591, 0.9099, 0.7499)
O (0.5409, 0.0901, 0.2501)
O (0.5409, 0.4099, 0.7501)
O (0.5516, 0.5352, 0.8952)
O (0.5516, 0.9648, 0.3952)
O (0.5865, 0.6415, 0.1105)
O (0.5865, 0.8585, 0.6105)
O (0.6055, 0.7285, 0.3972)
O (0.6055, 0.7715, 0.8972)
O (0.6636, 0.1227, 0.1056)
O (0.6636, 0.3773, 0.6056)
O (0.7102, 0.2487, 0.2711)
O (0.7102, 0.2513, 0.7711)
O (0.7571, 0.1196, 0.4598)
O (0.7571, 0.3804, 0.9598)
O (0.8510, 0.1606, 0.6652)
O (0.8510, 0.3394, 0.1652)
O (0.8878, 0.0986, 0.8661)
O (0.8878, 0.4014, 0.3661)
O (0.9084, 0.6373, 0.9065)
O (0.9084, 0.8627, 0.4065)
O (0.9139, 0.5153, 0.1157)
O (0.9139, 0.9847, 0.6157)
O (0.9383, 0.7464, 0.1519)
O (0.9383, 0.7536, 0.6519)

Computed properties:
Total moment, μB per cell: 20.0
DFT formation energy, eV/atom: -2.6510

[2]
CrO2 after structural relaxation, computed with GGA+U.

Lattice parameters (Å, degrees): 7.1472 7.1472 9.8603 133.60 133.60 24.22
Fractional coordinates of all 12 atoms:
Cr (0.1530, 0.1530, 0.3185)
Cr (0.3355, 0.3355, 0.9886)
Cr (0.6645, 0.6645, 0.0114)
Cr (0.8470, 0.8470, 0.6815)
O (0.0379, 0.0379, 0.8749)
O (0.2931, 0.2931, 0.1348)
O (0.3393, 0.3393, 0.8012)
O (0.3404, 0.3404, 0.5458)
O (0.6596, 0.6596, 0.4542)
O (0.6607, 0.6607, 0.1988)
O (0.7069, 0.7069, 0.8652)
O (0.9621, 0.9621, 0.1251)

Computed properties:
Total moment, μB per cell: 8.0
DFT formation energy, eV/atom: -1.9814

[3]
Mn2Si4O11 after structural relaxation, computed with GGA+U.

Lattice parameters (Å, degrees): 7.1546 7.5937 8.4574 97.00 103.27 109.68
Fractional coordinates of all 34 atoms:
Mn (0.1359, 0.3697, 0.1112)
Mn (0.3602, 0.6250, 0.8893)
Mn (0.6398, 0.3750, 0.1107)
Mn (0.8641, 0.6303, 0.8888)
Si (0.0484, 0.7905, 0.2796)
Si (0.2230, 0.0190, 0.8948)
Si (0.2340, 0.3811, 0.5245)
Si (0.4801, 0.7861, 0.2851)
Si (0.5199, 0.2139, 0.7149)
Si (0.7660, 0.6189, 0.4755)
Si (0.7770, 0.9810, 0.1052)
Si (0.9516, 0.2095, 0.7204)
O (0.0066, 0.0372, 0.7935)
O (0.0172, 0.2408, 0.5529)
O (0.0866, 0.4059, 0.8743)
O (0.1553, 0.8028, 0.9323)
O (0.1959, 0.4218, 0.3401)
O (0.2937, 0.8412, 0.3218)
O (0.3239, 0.5811, 0.6634)
O (0.3413, 0.2041, 0.0545)
O (0.3795, 0.0340, 0.7787)
O (0.3892, 0.2614, 0.5549)
O (0.3933, 0.5975, 0.1250)
O (0.6067, 0.4025, 0.8750)
O (0.6108, 0.7386, 0.4451)
O (0.6205, 0.9660, 0.2213)
O (0.6587, 0.7959, 0.9455)
O (0.6761, 0.4189, 0.3366)
O (0.7063, 0.1588, 0.6782)
O (0.8041, 0.5782, 0.6599)
O (0.8447, 0.1972, 0.0677)
O (0.9134, 0.5941, 0.1257)
O (0.9828, 0.7592, 0.4471)
O (0.9934, 0.9628, 0.2065)

Computed properties:
DFT formation energy, eV/atom: -2.8100

[4]
Tm2WO6 after structural relaxation, computed with GGA+U.

Lattice parameters (Å, degrees): 7.6201 5.3302 11.3553 90.00 104.78 90.00
Fractional coordinates of all 36 atoms:
Tm (0.0000, 0.1838, 0.2500)
Tm (0.0000, 0.8162, 0.7500)
Tm (0.2969, 0.3132, 0.9215)
Tm (0.2969, 0.6868, 0.4215)
Tm (0.5000, 0.2382, 0.2500)
Tm (0.5000, 0.7618, 0.7500)
Tm (0.7031, 0.3132, 0.5785)
Tm (0.7031, 0.6868, 0.0785)
W (0.2213, 0.2451, 0.6135)
W (0.2213, 0.7549, 0.1135)
W (0.7787, 0.2451, 0.8865)
W (0.7787, 0.7549, 0.3865)
O (0.0133, 0.1363, 0.8871)
O (0.0133, 0.8637, 0.3871)
O (0.1330, 0.3529, 0.4497)
O (0.1330, 0.6471, 0.9497)
O (0.2100, 0.4819, 0.2302)
O (0.2100, 0.5181, 0.7302)
O (0.2885, 0.0354, 0.7735)
O (0.2885, 0.9646, 0.2735)
O (0.3514, 0.0315, 0.0692)
O (0.3514, 0.9685, 0.5692)
O (0.4403, 0.4625, 0.6042)
O (0.4403, 0.5375, 0.1042)
O (0.5597, 0.4625, 0.8958)
O (0.5597, 0.5375, 0.3958)
O (0.6486, 0.0315, 0.4308)
O (0.6486, 0.9685, 0.9308)
O (0.7115, 0.0354, 0.7265)
O (0.7115, 0.9646, 0.2265)
O (0.7900, 0.4819, 0.2698)
O (0.7900, 0.5181, 0.7698)
O (0.8670, 0.3529, 0.0503)
O (0.8670, 0.6471, 0.5503)
O (0.9867, 0.1363, 0.6129)
O (0.9867, 0.8637, 0.1129)

Computed properties:
DFT formation energy, eV/atom: -3.3425
Polymorph energy (0 for the lowest one), meV per atom: 0

[5]
Li4Co3NiO8 after structural relaxation, computed with GGA+U.

Lattice parameters (Å, degrees): 5.8387 5.8525 10.0850 89.73 73.42 60.08
Fractional coordinates of all 32 atoms:
Li (0.0011, 0.2483, 0.2551)
Li (0.0045, 0.7515, 0.2514)
Li (0.4940, 0.7583, 0.7528)
Li (0.4983, 0.7481, 0.2493)
Li (0.5017, 0.2519, 0.7507)
Li (0.5060, 0.2417, 0.2472)
Li (0.9955, 0.2485, 0.7486)
Li (0.9989, 0.7517, 0.7449)
Co (0.0000, 0.0000, 0.0000)
Co (0.0000, 0.0000, 0.5000)
Co (0.0000, 0.5000, 0.0000)
Co (0.0000, 0.5000, 0.5000)
Co (0.5000, 0.0000, 0.5000)
Co (0.5000, 0.5000, 0.0000)
Ni (0.5000, 0.0000, 0.0000)
Ni (0.5000, 0.5000, 0.5000)
O (0.2119, 0.6487, 0.3952)
O (0.2189, 0.1433, 0.8890)
O (0.2291, 0.8800, 0.6162)
O (0.2523, 0.3599, 0.6069)
O (0.2577, 0.0981, 0.3851)
O (0.2643, 0.6191, 0.8839)
O (0.2662, 0.3835, 0.1136)
O (0.2673, 0.8494, 0.1112)
O (0.7327, 0.1506, 0.8888)
O (0.7338, 0.6165, 0.8864)
O (0.7357, 0.3809, 0.1161)
O (0.7423, 0.9019, 0.6149)
O (0.7477, 0.6401, 0.3931)
O (0.7709, 0.1200, 0.3838)
O (0.7811, 0.8567, 0.1110)
O (0.7881, 0.3513, 0.6048)

Computed properties:
Total moment, μB per cell: 5.7
DFT formation energy, eV/atom: -1.6168
Polymorph energy (0 for the lowest one), meV per atom: 69

[6]
Li9Mn2Co5O16 after structural relaxation, computed with GGA+U.

Lattice parameters (Å, degrees): 5.8991 6.4967 7.7728 89.02 81.17 77.04
Fractional coordinates of all 32 atoms:
Li (0.0000, 0.0000, 0.0000)
Li (0.0052, 0.4877, 0.4910)
Li (0.1227, 0.3671, 0.1254)
Li (0.2276, 0.2455, 0.7679)
Li (0.2480, 0.7314, 0.2391)
Li (0.4901, 0.9967, 0.0051)
Li (0.5002, 0.4875, 0.4979)
Li (0.7454, 0.2455, 0.7515)
Li (0.7707, 0.7326, 0.2342)
Mn (0.1198, 0.8663, 0.6252)
Mn (0.8810, 0.1143, 0.3673)
Co (0.3713, 0.6072, 0.8812)
Co (0.3749, 0.1175, 0.3698)
Co (0.6221, 0.8661, 0.6229)
Co (0.6269, 0.3666, 0.1239)
Co (0.8775, 0.6103, 0.8844)
O (0.0489, 0.1609, 0.5565)
O (0.0610, 0.6810, 0.0451)
O (0.1756, 0.0610, 0.2123)
O (0.1782, 0.5718, 0.6872)
O (0.2964, 0.9207, 0.8020)
O (0.3330, 0.4020, 0.3065)
O (0.4146, 0.8270, 0.4592)
O (0.4417, 0.3171, 0.9323)
O (0.5648, 0.6757, 0.0587)
O (0.5832, 0.1517, 0.5368)
O (0.6753, 0.5817, 0.6953)
O (0.7036, 0.0555, 0.1937)
O (0.8092, 0.4067, 0.3135)
O (0.8235, 0.9166, 0.7836)
O (0.9151, 0.3152, 0.9393)
O (0.9481, 0.8168, 0.4395)

Computed properties:
Total moment, μB per cell: 26.0
DFT formation energy, eV/atom: -1.8035
Polymorph energy (0 for the lowest one), meV per atom: 61

[7]
Mg2FeO4 after structural relaxation, computed with GGA+U.

Lattice parameters (Å, degrees): 5.1629 5.9187 11.0265 90.00 117.86 90.00
Fractional coordinates of all 28 atoms:
Mg (0.0043, 0.1148, 0.2459)
Mg (0.0043, 0.3852, 0.7459)
Mg (0.2920, 0.6296, 0.5389)
Mg (0.2920, 0.8704, 0.0389)
Mg (0.7080, 0.1296, 0.9611)
Mg (0.7080, 0.3704, 0.4611)
Mg (0.9957, 0.6148, 0.2541)
Mg (0.9957, 0.8852, 0.7541)
Fe (0.2711, 0.1307, 0.5285)
Fe (0.2711, 0.3693, 0.0285)
Fe (0.7289, 0.6307, 0.9715)
Fe (0.7289, 0.8693, 0.4715)
O (0.1811, 0.1384, 0.1153)
O (0.1811, 0.3616, 0.6153)
O (0.1840, 0.6020, 0.1199)
O (0.1840, 0.8980, 0.6199)
O (0.2651, 0.1411, 0.8924)
O (0.2651, 0.3589, 0.3924)
O (0.2935, 0.6208, 0.8924)
O (0.2935, 0.8792, 0.3924)
O (0.7065, 0.1208, 0.6076)
O (0.7065, 0.3792, 0.1076)
O (0.7349, 0.6411, 0.6076)
O (0.7349, 0.8589, 0.1076)
O (0.8160, 0.1020, 0.3801)
O (0.8160, 0.3980, 0.8801)
O (0.8189, 0.6384, 0.3847)
O (0.8189, 0.8616, 0.8847)

Computed properties:
Total moment, μB per cell: 16.0
DFT formation energy, eV/atom: -2.2565
Polymorph energy (0 for the lowest one), meV per atom: 9

[8]
Li2MnSiO4 after structural relaxation, computed with GGA+U.

Lattice parameters (Å, degrees): 5.3393 5.3393 6.3835 90.00 90.00 106.58
Fractional coordinates of all 16 atoms:
Li (0.0000, 0.5000, 0.7500)
Li (0.0000, 0.5000, 0.2500)
Li (0.5000, 0.0000, 0.2500)
Li (0.5000, 0.0000, 0.7500)
O (0.6762, 0.9037, 0.5000)
O (0.1762, 0.4037, 0.0000)
O (0.1138, 0.8862, 0.7101)
O (0.6138, 0.3862, 0.2101)
O (0.0963, 0.3238, 0.5000)
O (0.6138, 0.3862, 0.7899)
O (0.5963, 0.8238, 0.0000)
O (0.1138, 0.8862, 0.2899)
Mn (0.0000, 0.0000, 0.0000)
Mn (0.5000, 0.5000, 0.5000)
Si (0.0000, 0.0000, 0.5000)
Si (0.5000, 0.5000, 0.0000)

Computed properties:
Total moment, μB per cell: 0.0
DFT formation energy, eV/atom: -2.6718
Polymorph energy (0 for the lowest one), meV per atom: 18
Maximum piezoelectric response, C/m²: 0.74

[9]
NaSrLaMnO6 after structural relaxation, computed with GGA+U.

Lattice parameters (Å, degrees): 5.9710 5.9710 5.9710 60.00 60.00 60.00
Fractional coordinates of all 10 atoms:
Na (0.0000, 0.0000, 0.0000)
Sr (0.5000, 0.5000, 0.5000)
La (0.2500, 0.2500, 0.2500)
Mn (0.7500, 0.7500, 0.7500)
O (0.5246, 0.5246, 0.9754)
O (0.5246, 0.9754, 0.5246)
O (0.5246, 0.9754, 0.9754)
O (0.9754, 0.5246, 0.5246)
O (0.9754, 0.5246, 0.9754)
O (0.9754, 0.9754, 0.5246)

Computed properties:
Total moment, μB per cell: 1.0
DFT formation energy, eV/atom: -2.3006

[10]
Li5Ti2V5O12 after structural relaxation, computed with GGA+U.

Lattice parameters (Å, degrees): 5.2174 5.2174 10.0491 95.42 95.42 120.88
Fractional coordinates of all 24 atoms:
Li (0.0000, 0.0000, 0.0000)
Li (0.0842, 0.4053, 0.2445)
Li (0.2486, 0.2396, 0.7554)
Li (0.5947, 0.9158, 0.7555)
Li (0.7604, 0.7514, 0.2446)
Ti (0.1686, 0.8314, 0.5000)
Ti (0.6676, 0.3324, 0.0000)
V (0.3398, 0.6602, 0.0000)
V (0.4138, 0.0774, 0.2456)
V (0.4973, 0.5027, 0.5000)
V (0.8366, 0.1634, 0.5000)
V (0.9226, 0.5862, 0.7544)
O (0.0385, 0.6845, 0.1139)
O (0.1237, 0.1022, 0.3777)
O (0.2141, 0.5655, 0.6210)
O (0.3155, 0.9615, 0.8861)
O (0.4023, 0.3801, 0.1157)
O (0.4345, 0.7859, 0.3790)
O (0.5324, 0.1982, 0.6184)
O (0.6199, 0.5977, 0.8843)
O (0.6996, 0.0463, 0.1152)
O (0.8018, 0.4676, 0.3816)
O (0.8978, 0.8763, 0.6223)
O (0.9537, 0.3004, 0.8848)

Computed properties:
Total moment, μB per cell: 14.0
DFT formation energy, eV/atom: -2.5778

[11]
Li4Mn5Nb3O16 after structural relaxation, computed with GGA+U.

Lattice parameters (Å, degrees): 6.1379 6.1564 9.9639 90.33 90.12 119.56
Fractional coordinates of all 28 atoms:
Li (0.0000, 0.0000, 0.0000)
Li (0.0169, 0.0059, 0.4906)
Li (0.3416, 0.6753, 0.8904)
Li (0.6720, 0.3409, 0.3717)
Mn (0.1606, 0.8288, 0.2076)
Mn (0.1621, 0.3342, 0.2110)
Mn (0.3074, 0.6542, 0.4861)
Mn (0.3318, 0.1674, 0.7131)
Mn (0.6486, 0.3243, 0.0064)
Nb (0.6485, 0.8288, 0.2139)
Nb (0.8241, 0.6593, 0.7102)
Nb (0.8255, 0.1670, 0.7100)
O (0.0404, 0.5273, 0.3161)
O (0.1408, 0.3076, 0.6003)
O (0.1434, 0.8351, 0.6034)
O (0.2997, 0.1459, 0.1084)
O (0.3548, 0.6986, 0.0915)
O (0.4759, 0.5135, 0.3221)
O (0.4896, 0.9704, 0.3284)
O (0.5277, 0.4936, 0.8264)
O (0.5311, 0.0410, 0.8266)
O (0.6807, 0.8412, 0.5982)
O (0.6941, 0.3496, 0.5925)
O (0.8351, 0.6829, 0.0979)
O (0.8444, 0.1579, 0.1048)
O (0.9709, 0.9870, 0.8164)
O (0.9739, 0.4876, 0.8192)
O (0.9816, 0.9680, 0.3113)

Computed properties:
Total moment, μB per cell: 22.0
DFT formation energy, eV/atom: -2.4418

[12]
MgMnSb2O6 after structural relaxation, computed with GGA+U.

Lattice parameters (Å, degrees): 5.4668 5.4668 5.2606 90.04 90.04 119.89
Fractional coordinates of all 10 atoms:
Mg (0.0000, 0.0000, 0.0000)
Mn (0.3337, 0.6663, 0.0000)
Sb (0.0012, 0.9988, 0.5000)
Sb (0.6677, 0.3323, 0.5000)
O (0.0065, 0.2939, 0.2601)
O (0.0071, 0.7109, 0.7412)
O (0.2882, 0.2931, 0.7414)
O (0.2891, 0.9929, 0.2588)
O (0.7061, 0.9935, 0.7399)
O (0.7069, 0.7118, 0.2586)

Computed properties:
Total moment, μB per cell: 5.0
DFT formation energy, eV/atom: -1.9170
Polymorph energy (0 for the lowest one), meV per atom: 133

- Which formula does entry 2 have?
  CrO2

- Among the records above, which one has the highest DFT formation energy?
  Li4Co3NiO8

- The highest DFT formation energy belongs to which entry?
  Li4Co3NiO8

- Look up the DFT formation energy of the fifth one.
  -1.6168 eV/atom